This record from Materials Project describes a relaxed structure of CaIrO3. The functional is GGA-PBE.

Lattice parameters (Å, degrees): 5.6915 7.7369 5.3560 90.00 90.00 90.00
Last column: nearest neighbours and their distance in Å.
Space group Pnma (No. 62)
Inequivalent atoms, fractional coordinates:
Ca  0.0656  0.2500  0.0198 [4 per cell]  4 O 2.28-2.33
Ir  0.0000  0.0000  0.5000 [4 per cell]  6 O 2.04-2.05
O  0.0427  0.7500  0.3908 [4 per cell]  2 Ir 2.04
O  0.1954  0.5536  0.8114 [8 per cell]  2 Ir 2.05

corrected total energy (MP2020 scheme) = -7.215 eV/atom


This record from Materials Project describes a relaxed structure of AlCoW. The functional is GGA-PBE.

Lattice parameters (Å, degrees): 7.7597 4.8970 8.2752 90.00 90.00 90.00
Last column: nearest neighbours and their distance in Å.
Space group Amm2 (No. 38)
Inequivalent atoms, fractional coordinates:
Al  0.0000  0.2434  0.0000 [4 per cell]  2 Co 2.38-2.43, 4 Al 2.38-2.54
Al  0.2640  0.0000  0.6007 [4 per cell]  4 Co 2.33-2.40, 2 Al 2.54
Co  0.0000  0.0000  0.7514 [2 per cell]  6 Al 2.38-2.43
Co  0.5000  0.0000  0.4200 [2 per cell]  4 Co 2.31-2.49, 2 Al 2.36
Co  0.5000  0.2355  0.1776 [4 per cell]  3 Co 2.31-2.49, 2 Al 2.33
W  0.2006  0.0000  0.2588 [4 per cell]  5 Co 2.68-2.90, 7 Al 2.82-2.90, 3 W 2.91-2.98
W  0.3246  0.0000  0.9274 [4 per cell]  4 W 2.72-2.98, 7 Co 2.73-2.91, 5 Al 2.74-2.88


How do the records compare in E? In the order shown, they have -6.803, -8.154 eV/atom.